# 1
! r²SCAN BaHfF6, optimized geometry; values from VASP
&SYSTEM
  ibrav = 0, nat = 16, ntyp = 3
/
ATOMIC_SPECIES
Ba 137.33 Ba.upf
Hf 178.49 Hf.upf
F 19.00 F.upf
ATOMIC_POSITIONS crystal
Ba 0.250 0.750 0.936
Ba 0.750 0.250 0.064
Hf 0.250 0.250 0.500
Hf 0.750 0.750 0.500
F 0.065 0.935 0.656
F 0.067 0.318 0.746
F 0.182 0.433 0.254
F 0.318 0.067 0.254
F 0.433 0.182 0.746
F 0.435 0.565 0.656
F 0.565 0.435 0.344
F 0.567 0.818 0.254
F 0.682 0.933 0.746
F 0.818 0.567 0.746
F 0.933 0.682 0.254
F 0.935 0.065 0.344
CELL_PARAMETERS angstrom
3.772 -5.735 0.000
3.772 5.735 0.000
0.000 0.000 5.463
! magnetization	0.00	μB/f.u.
! ΔE_f	-4.175	eV per atom
! SG	Cmme, No. 67

***

# 2
! r²SCAN Ba3In2F12, optimized geometry; values from VASP
&SYSTEM
  ibrav = 0, nat = 34, ntyp = 3
/
ATOMIC_SPECIES
Ba 137.33 Ba.upf
In 114.82 In.upf
F 19.00 F.upf
ATOMIC_POSITIONS crystal
Ba 0.000 0.000 0.000
Ba 0.180 0.320 0.500
Ba 0.320 0.820 0.500
Ba 0.500 0.500 0.000
Ba 0.680 0.180 0.500
Ba 0.820 0.680 0.500
In 0.133 0.633 0.000
In 0.367 0.133 0.000
In 0.633 0.867 0.000
In 0.867 0.367 0.000
F 0.000 0.500 0.222
F 0.000 0.500 0.778
F 0.056 0.773 0.258
F 0.056 0.773 0.742
F 0.207 0.293 0.000
F 0.227 0.056 0.258
F 0.227 0.056 0.742
F 0.273 0.556 0.258
F 0.273 0.556 0.742
F 0.293 0.793 0.000
F 0.444 0.273 0.258
F 0.444 0.273 0.742
F 0.500 0.000 0.222
F 0.500 0.000 0.778
F 0.556 0.727 0.258
F 0.556 0.727 0.742
F 0.707 0.207 0.000
F 0.727 0.444 0.258
F 0.727 0.444 0.742
F 0.773 0.944 0.258
F 0.773 0.944 0.742
F 0.793 0.707 0.000
F 0.944 0.227 0.258
F 0.944 0.227 0.742
CELL_PARAMETERS angstrom
9.578 0.000 0.000
0.000 9.578 0.000
0.000 0.000 5.655
! magnetization	0.00	μB/f.u.
! ΔE_f	-3.549	eV per atom
! SG	P4/mbm, No. 127

***

# 3
! r²SCAN BaLiZr2F11, optimized geometry; values from VASP
&SYSTEM
  ibrav = 0, nat = 30, ntyp = 4
/
ATOMIC_SPECIES
Ba 137.33 Ba.upf
Li 6.94 Li.upf
Zr 91.22 Zr.upf
F 19.00 F.upf
ATOMIC_POSITIONS crystal
Ba 0.195 0.195 0.000
Ba 0.805 0.805 0.000
Li 0.250 0.750 0.500
Li 0.750 0.250 0.500
Zr 0.214 0.362 0.577
Zr 0.362 0.786 0.148
Zr 0.638 0.214 0.852
Zr 0.786 0.638 0.423
F 0.000 0.500 0.500
F 0.055 0.839 0.564
F 0.118 0.811 0.930
F 0.161 0.725 0.216
F 0.189 0.118 0.307
F 0.189 0.468 0.867
F 0.275 0.491 0.436
F 0.322 0.189 0.721
F 0.399 0.678 0.867
F 0.468 0.601 0.279
F 0.491 0.055 0.216
F 0.500 0.000 0.500
F 0.509 0.945 0.784
F 0.532 0.399 0.721
F 0.601 0.322 0.133
F 0.678 0.811 0.279
F 0.725 0.509 0.564
F 0.811 0.532 0.133
F 0.811 0.882 0.693
F 0.839 0.275 0.784
F 0.882 0.189 0.070
F 0.945 0.161 0.436
CELL_PARAMETERS angstrom
-4.092 4.092 5.623
4.092 -4.092 5.623
4.092 4.092 -5.623
! magnetization	0.00	μB/f.u.
! ΔE_f	-3.998	eV per atom
! SG	I4/m, No. 87

***

# 4
! r²SCAN BaMgF4, optimized geometry; values from VASP
&SYSTEM
  ibrav = 0, nat = 12, ntyp = 3
/
ATOMIC_SPECIES
Ba 137.33 Ba.upf
Mg 24.30 Mg.upf
F 19.00 F.upf
ATOMIC_POSITIONS crystal
Ba 0.146 0.854 0.500
Ba 0.854 0.146 0.000
Mg 0.414 0.586 0.534
Mg 0.586 0.414 0.034
F 0.078 0.922 0.040
F 0.304 0.696 0.733
F 0.332 0.668 0.271
F 0.477 0.523 0.839
F 0.523 0.477 0.339
F 0.668 0.332 0.771
F 0.696 0.304 0.233
F 0.922 0.078 0.540
CELL_PARAMETERS angstrom
2.069 -7.223 0.000
2.069 7.223 0.000
0.000 0.000 5.824
! magnetization	0.00	μB/f.u.
! ΔE_f	-3.973	eV per atom
! SG	Cmc2_1, No. 36